# 1
VASP calculation (GGA+U) on a relaxed structure of MoP3O9.

## Properties
For the volume, the calculation gives 1083.5 Å³/cell. The value obtained for the total energy after the MP2020 corrections is -8.0459 eV per atom.

a = 12.1323 Å, b = 12.1323 Å, c = 9.8650 Å
α = 110.08°, β = 110.08°, γ = 110.64°
Positions (direct):
Mo1 0.0790 0.9210 0.5000
Mo2 0.2285 0.7391 0.9689
Mo3 0.4140 0.5907 0.5019
Mo4 0.5907 0.4140 0.0019
Mo5 0.7391 0.2285 0.4689
Mo6 0.9210 0.0790 0.0000
P1 0.0017 0.2734 0.8186
P2 0.1502 0.5469 0.1515
P3 0.2078 0.4816 0.6529
P4 0.2391 0.2879 0.7724
P5 0.2734 0.0017 0.3186
P6 0.2879 0.2391 0.2724
P7 0.3327 0.9410 0.8105
P8 0.4816 0.2078 0.1529
P9 0.5469 0.1502 0.6515
P10 0.5623 0.9432 0.7559
P11 0.5862 0.8687 0.2107
P12 0.6206 0.6763 0.3369
P13 0.6763 0.6206 0.8369
P14 0.8247 0.8878 0.1709
P15 0.8687 0.5862 0.7107
P16 0.8878 0.8247 0.6709
P17 0.9410 0.3327 0.3105
P18 0.9432 0.5623 0.2559
O1 0.0127 0.6715 0.8636
O2 0.0162 0.9038 0.6734
O3 0.0311 0.4065 0.9716
O4 0.0573 0.5939 0.2056
O5 0.0729 0.3659 0.4679
O6 0.1408 0.1583 0.1286
O7 0.1489 0.9361 0.3297
O8 0.1568 0.3165 0.8638
O9 0.1583 0.1408 0.6286
O10 0.1682 0.5429 0.7740
O11 0.2278 0.5171 0.2743
O12 0.2339 0.6557 0.1284
O13 0.2468 0.8143 0.8060
O14 0.2569 0.3854 0.6955
O15 0.2651 0.9264 0.1559
O16 0.2707 0.9454 0.6534
O17 0.3150 0.5818 0.6426
O18 0.3165 0.1568 0.3638
O19 0.3459 0.3797 0.4174
O20 0.3659 0.0729 0.9679
O21 0.3797 0.3459 0.9174
O22 0.3854 0.2569 0.1955
O23 0.4065 0.0311 0.4716
O24 0.4455 0.8184 0.0737
O25 0.4677 0.8024 0.5951
O26 0.4853 0.9702 0.8574
O27 0.5152 0.5903 0.3622
O28 0.5171 0.2278 0.7743
O29 0.5429 0.1682 0.2740
O30 0.5671 0.7626 0.2746
O31 0.5818 0.3150 0.1426
O32 0.5903 0.5152 0.8622
O33 0.5939 0.0573 0.7056
O34 0.6020 0.6573 0.7211
O35 0.6557 0.2339 0.6284
O36 0.6573 0.6020 0.2211
O37 0.6678 0.8464 0.1147
O38 0.6715 0.0127 0.3636
O39 0.7001 0.9792 0.8829
O40 0.7583 0.8003 0.5182
O41 0.7626 0.5671 0.7746
O42 0.8003 0.7583 0.0182
O43 0.8024 0.4677 0.0951
O44 0.8143 0.2468 0.3060
O45 0.8184 0.4455 0.5737
O46 0.8464 0.6678 0.6147
O47 0.8881 0.8905 0.3330
O48 0.8905 0.8881 0.8330
O49 0.9038 0.0162 0.1734
O50 0.9264 0.2651 0.6559
O51 0.9361 0.1489 0.8297
O52 0.9454 0.2707 0.1534
O53 0.9702 0.4853 0.3574
O54 0.9792 0.7001 0.3829

# 2
VASP calculation (GGA+U) on a relaxed structure of Li4Co5O9F.

## Properties
For the excess energy over the best structure of this formula in the dataset, the calculation gives 95 meV/atom. For the volume, the calculation gives 182.3 Å³/cell. The value obtained for the total energy after the MP2020 corrections is -6.3348 eV per atom. The spin magnetization is 0.0 μB per formula unit.

a = 2.8756 Å, b = 5.1338 Å, c = 13.0590 Å
α = 80.02°, β = 84.19°, γ = 74.07°
Positions (direct):
Li1 0.0000 0.0000 0.0000
Li2 0.1917 0.0288 0.5810
Li3 0.5946 0.0229 0.7892
Li4 0.8035 0.0161 0.3732
Co1 0.0813 0.5521 0.2809
Co2 0.3043 0.5304 0.8785
Co3 0.4994 0.5192 0.4807
Co4 0.7075 0.4984 0.0773
Co5 0.9022 0.5287 0.6795
O1 0.0876 0.6946 0.1283
O2 0.1248 0.3036 0.4384
O3 0.2547 0.7649 0.7237
O4 0.3305 0.2987 0.0223
O5 0.4526 0.7411 0.3515
O6 0.5383 0.3061 0.6191
O7 0.6407 0.7601 0.9250
O8 0.8728 0.7326 0.5272
O9 0.9540 0.3038 0.8215
F1 0.7437 0.2666 0.2425

# 3
VASP calculation (GGA+U) on a relaxed structure of CuMoF6.

## Properties
For the excess energy over the best structure of this formula in the dataset, the calculation gives 0 meV/atom. For the volume, the calculation gives 110.0 Å³/cell. The value obtained for the total energy after the MP2020 corrections is -5.6898 eV per atom.

a = 5.0247 Å, b = 5.1883 Å, c = 5.5491 Å
α = 62.16°, β = 65.50°, γ = 62.78°
Positions (direct):
Cu1 0.0000 0.0000 0.0000
Mo1 0.5000 0.5000 0.5000
F1 0.1270 0.3747 0.7480
F2 0.2499 0.8894 0.2423
F3 0.4125 0.7272 0.7361
F4 0.5875 0.2728 0.2639
F5 0.7501 0.1106 0.7577
F6 0.8730 0.6253 0.2520

# 4
VASP calculation (GGA+U) on a relaxed structure of K2Nb4Fe2O13.

## Properties
For the volume, the calculation gives 307.9 Å³/cell. The value obtained for the total energy after the MP2020 corrections is -8.5826 eV per atom. The spin magnetization is 8.0 μB per formula unit.

a = 8.4326 Å, b = 8.4326 Å, c = 9.6359 Å
α = 99.97°, β = 99.97°, γ = 27.17°
Positions (direct):
K1 0.0512 0.0512 0.2507
K2 0.9488 0.9488 0.7493
Nb1 0.3361 0.3361 0.0639
Nb2 0.3809 0.3809 0.4153
Nb3 0.6191 0.6191 0.5847
Nb4 0.6639 0.6639 0.9361
Fe1 0.2631 0.2631 0.7250
Fe2 0.7369 0.7369 0.2750
O1 0.1245 0.1245 0.6135
O2 0.1999 0.1999 0.9383
O3 0.2771 0.2771 0.2569
O4 0.3363 0.3363 0.5775
O5 0.3693 0.3693 0.8902
O6 0.4321 0.4321 0.1969
O7 0.5000 0.5000 0.5000
O8 0.5679 0.5679 0.8031
O9 0.6307 0.6307 0.1098
O10 0.6637 0.6637 0.4225
O11 0.7229 0.7229 0.7431
O12 0.8001 0.8001 0.0617
O13 0.8755 0.8755 0.3865

# 5
VASP calculation (GGA+U) on a relaxed structure of CoP2H13C2NO9.

## Properties
For the volume, the calculation gives 1046.2 Å³/cell. The value obtained for the total energy after the MP2020 corrections is -5.9953 eV per atom. The spin magnetization is 3.0 μB per formula unit.

a = 9.0430 Å, b = 7.2817 Å, c = 15.8893 Å
α = 90.00°, β = 90.61°, γ = 90.00°
Positions (direct):
Co1 0.0188 0.2408 0.1260
Co2 0.0188 0.2592 0.6260
Co3 0.9812 0.7408 0.3740
Co4 0.9812 0.7592 0.8740
P1 0.1929 0.6091 0.0341
P2 0.1929 0.8909 0.5341
P3 0.2047 0.0722 0.7850
P4 0.2047 0.4278 0.2850
P5 0.7953 0.5722 0.7150
P6 0.7953 0.9278 0.2150
P7 0.8071 0.1091 0.4659
P8 0.8071 0.3909 0.9659
H1 0.0777 0.5707 0.7478
H2 0.0777 0.9293 0.2478
H3 0.1340 0.2237 0.4422
H4 0.1340 0.2763 0.9422
H5 0.1503 0.5299 0.5313
H6 0.1503 0.9701 0.0313
H7 0.1724 0.0766 0.3627
H8 0.1724 0.4234 0.8627
H9 0.2075 0.7117 0.7780
H10 0.2075 0.7883 0.2780
H11 0.2731 0.0892 0.0794
H12 0.2731 0.4108 0.5794
H13 0.3075 0.6411 0.1572
H14 0.3075 0.8589 0.6572
H15 0.3443 0.0929 0.9186
H16 0.3443 0.4071 0.4186
H17 0.3646 0.2277 0.1730
H18 0.3646 0.2723 0.6730
H19 0.3690 0.1345 0.5105
H20 0.3690 0.3655 0.0105
H21 0.3828 0.5372 0.9302
H22 0.3828 0.9628 0.4302
H23 0.4067 0.2475 0.3419
H24 0.4067 0.2525 0.8419
H25 0.4730 0.6507 0.3339
H26 0.4730 0.8493 0.8339
H27 0.5270 0.1507 0.1661
H28 0.5270 0.3493 0.6661
H29 0.5933 0.7475 0.1581
H30 0.5933 0.7525 0.6581
H31 0.6172 0.0372 0.5698
H32 0.6172 0.4628 0.0698
H33 0.6310 0.6345 0.9895
H34 0.6310 0.8655 0.4895
H35 0.6354 0.7277 0.3270
H36 0.6354 0.7723 0.8270
H37 0.6557 0.5929 0.5814
H38 0.6557 0.9071 0.0814
H39 0.6925 0.1411 0.3428
H40 0.6925 0.3589 0.8428
H41 0.7269 0.5892 0.4206
H42 0.7269 0.9108 0.9206
H43 0.7925 0.2117 0.7220
H44 0.7925 0.2883 0.2220
H45 0.8276 0.5766 0.1373
H46 0.8276 0.9234 0.6373
H47 0.8497 0.0299 0.9687
H48 0.8497 0.4701 0.4687
H49 0.8660 0.7237 0.0578
H50 0.8660 0.7763 0.5578
H51 0.9223 0.0707 0.7522
H52 0.9223 0.4293 0.2522
C1 0.3058 0.0440 0.4682
C2 0.3058 0.4560 0.9682
C3 0.3085 0.1891 0.8694
C4 0.3085 0.3109 0.3694
C5 0.6915 0.6891 0.6306
C6 0.6915 0.8109 0.1306
C7 0.6942 0.5440 0.0318
C8 0.6942 0.9560 0.5318
N1 0.2185 0.1628 0.4092
N2 0.2185 0.3372 0.9092
N3 0.7815 0.6628 0.0908
N4 0.7815 0.8372 0.5908
O1 0.0546 0.0109 0.8215
O2 0.0546 0.4891 0.3215
O3 0.0786 0.0009 0.5808
O4 0.0786 0.4991 0.0808
O5 0.1339 0.7311 0.4807
O6 0.1339 0.7689 0.9807
O7 0.1371 0.6148 0.7978
O8 0.1371 0.8852 0.2978
O9 0.1737 0.0963 0.0529
O10 0.1737 0.4037 0.5529
O11 0.1871 0.2227 0.7178
O12 0.1871 0.2773 0.2178
O13 0.3027 0.5911 0.2582
O14 0.3027 0.9089 0.7582
O15 0.3144 0.6896 0.0971
O16 0.3144 0.8104 0.5971
O17 0.4417 0.1932 0.1321
O18 0.4417 0.3068 0.6321
O19 0.5583 0.6932 0.3679
O20 0.5583 0.8068 0.8679
O21 0.6856 0.1896 0.4029
O22 0.6856 0.3104 0.9029
O23 0.6973 0.0911 0.2418
O24 0.6973 0.4089 0.7418
O25 0.8129 0.7227 0.7822
O26 0.8129 0.7773 0.2822
O27 0.8263 0.5963 0.4471
O28 0.8263 0.9037 0.9471
O29 0.8629 0.1148 0.7022
O30 0.8629 0.3852 0.2022
O31 0.8661 0.2311 0.0193
O32 0.8661 0.2689 0.5193
O33 0.9214 0.5009 0.9192
O34 0.9214 0.9991 0.4192
O35 0.9454 0.5109 0.6785
O36 0.9454 0.9891 0.1785

# 6
VASP calculation (GGA+U) on a relaxed structure of Tl5V3O10.

## Properties
For the volume, the calculation gives 1401.4 Å³/cell. The value obtained for the total energy after the MP2020 corrections is -6.7954 eV per atom. The spin magnetization is 0.0 μB per formula unit.

a = 8.4594 Å, b = 8.4594 Å, c = 19.5828 Å
α = 90.00°, β = 90.00°, γ = 90.00°
Positions (direct):
Tl1 0.9996 0.0287 0.1063
Tl2 0.0004 0.9713 0.6063
Tl3 0.0071 0.4779 0.8695
Tl4 0.0221 0.5071 0.1195
Tl5 0.0287 0.9996 0.8937
Tl6 0.2410 0.2410 0.5000
Tl7 0.2590 0.7410 0.7500
Tl8 0.4713 0.4996 0.3563
Tl9 0.4779 0.0071 0.1305
Tl10 0.4929 0.9779 0.3805
Tl11 0.4996 0.4713 0.6437
Tl12 0.5004 0.5287 0.1437
Tl13 0.5071 0.0221 0.8805
Tl14 0.5221 0.9929 0.6305
Tl15 0.5287 0.5004 0.8563
Tl16 0.7410 0.2590 0.2500
Tl17 0.7590 0.7590 0.0000
Tl18 0.9713 0.0004 0.3937
Tl19 0.9779 0.4929 0.6195
Tl20 0.9929 0.5221 0.3695
V1 0.1902 0.8098 0.2500
V2 0.2301 0.2321 0.2671
V3 0.2321 0.2301 0.7329
V4 0.2679 0.7301 0.5171
V5 0.2699 0.7321 0.9829
V6 0.3098 0.3098 0.0000
V7 0.6902 0.6902 0.5000
V8 0.7301 0.2679 0.4829
V9 0.7321 0.2699 0.0171
V10 0.7679 0.7699 0.2329
V11 0.7699 0.7679 0.7671
V12 0.8098 0.1902 0.7500
O1 0.0194 0.2272 0.7592
O2 0.0660 0.3269 0.2365
O3 0.0992 0.8209 0.0117
O4 0.1731 0.5660 0.4865
O5 0.1791 0.9008 0.4883
O6 0.2186 0.2397 0.9294
O7 0.2272 0.0194 0.2408
O8 0.2305 0.2447 0.3547
O9 0.2397 0.2186 0.0706
O10 0.2447 0.2305 0.6453
O11 0.2553 0.7305 0.6047
O12 0.2603 0.7186 0.1794
O13 0.2695 0.7447 0.8953
O14 0.2728 0.5194 0.0092
O15 0.2814 0.7397 0.3206
O16 0.3209 0.4008 0.7617
O17 0.3269 0.0660 0.7635
O18 0.4008 0.3209 0.2383
O19 0.4340 0.8269 0.0135
O20 0.4806 0.7272 0.4908
O21 0.5194 0.2728 0.9908
O22 0.5660 0.1731 0.5135
O23 0.5992 0.6791 0.7383
O24 0.6731 0.9340 0.2635
O25 0.6791 0.5992 0.2617
O26 0.7186 0.2603 0.8206
O27 0.7272 0.4806 0.5092
O28 0.7305 0.2553 0.3953
O29 0.7397 0.2814 0.6794
O30 0.7447 0.2695 0.1047
O31 0.7553 0.7695 0.1453
O32 0.7603 0.7814 0.5706
O33 0.7695 0.7553 0.8547
O34 0.7728 0.9806 0.7408
O35 0.7814 0.7603 0.4294
O36 0.8209 0.0992 0.9883
O37 0.8269 0.4340 0.9865
O38 0.9008 0.1791 0.5117
O39 0.9340 0.6731 0.7365
O40 0.9806 0.7728 0.2592

# 7
VASP calculation (GGA+U) on a relaxed structure of Si2WO7.

## Properties
For the volume, the calculation gives 596.2 Å³/cell. The value obtained for the total energy after the MP2020 corrections is -8.3154 eV per atom. The spin magnetization is 0.0 μB per formula unit.

a = 9.4834 Å, b = 9.4834 Å, c = 10.3852 Å
α = 119.61°, β = 119.61°, γ = 49.54°
Positions (direct):
Si1 0.0271 0.6343 0.3413
Si2 0.0342 0.6903 0.8905
Si3 0.3097 0.9658 0.6095
Si4 0.3657 0.9729 0.1587
Si5 0.6343 0.0271 0.8413
Si6 0.6903 0.0342 0.3905
Si7 0.9658 0.3097 0.1095
Si8 0.9729 0.3657 0.6587
W1 0.2940 0.7060 0.2500
W2 0.5000 0.5000 0.0000
W3 0.5000 0.5000 0.5000
W4 0.7060 0.2940 0.7500
O1 0.0105 0.5115 0.8282
O2 0.0698 0.6043 0.4921
O3 0.0715 0.7665 0.0853
O4 0.1289 0.1438 0.6812
O5 0.1438 0.1289 0.1812
O6 0.2335 0.9285 0.4147
O7 0.2401 0.6130 0.8735
O8 0.2424 0.5916 0.3338
O9 0.3870 0.7599 0.6265
O10 0.3957 0.9302 0.0079
O11 0.4084 0.7576 0.1662
O12 0.4222 0.4554 0.1056
O13 0.4554 0.4222 0.6056
O14 0.4885 0.9895 0.6718
O15 0.5115 0.0105 0.3282
O16 0.5446 0.5778 0.3944
O17 0.5778 0.5446 0.8944
O18 0.5916 0.2424 0.8338
O19 0.6043 0.0698 0.9921
O20 0.6130 0.2401 0.3735
O21 0.7576 0.4084 0.6662
O22 0.7599 0.3870 0.1265
O23 0.7665 0.0715 0.5853
O24 0.8562 0.8711 0.8188
O25 0.8711 0.8562 0.3188
O26 0.9285 0.2335 0.9147
O27 0.9302 0.3957 0.5079
O28 0.9895 0.4885 0.1718

# 8
VASP calculation (GGA+U) on a relaxed structure of MgMn6O6F6.

## Properties
For the excess energy over the best structure of this formula in the dataset, the calculation gives 71 meV/atom. For the volume, the calculation gives 229.5 Å³/cell. The value obtained for the total energy after the MP2020 corrections is -7.5347 eV per atom. The spin magnetization is 26.0 μB per formula unit.

a = 4.8334 Å, b = 5.0165 Å, c = 9.4660 Å
α = 90.55°, β = 90.53°, γ = 91.06°
Positions (direct):
Mg1 0.0000 0.0000 0.0000
Mn1 0.0253 0.5743 0.3401
Mn2 0.4773 0.0670 0.4991
Mn3 0.4804 0.0781 0.8212
Mn4 0.5275 0.0049 0.1830
Mn5 0.9390 0.4933 0.0038
Mn6 0.9936 0.4813 0.6627
O1 0.1158 0.2853 0.8586
O2 0.1766 0.3412 0.4942
O3 0.3344 0.8474 0.3379
O4 0.6577 0.2550 0.6573
O5 0.6591 0.2044 0.0149
O6 0.8422 0.7425 0.1540
F1 0.1713 0.2501 0.1534
F2 0.2848 0.8052 0.6770
F3 0.3065 0.7674 0.9955
F4 0.6962 0.2812 0.3278
F5 0.7960 0.7786 0.5051
F6 0.8175 0.7608 0.8469